Record 1
# GGA+U LaTb3Mo4O14, optimized geometry
data_LaTb3Mo4O14
_chemical_formula_sum 'La3 Tb9 Mo12 O42'
_cell_length_a 7.4980
_cell_length_b 7.4980
_cell_length_c 17.9933
_cell_angle_alpha 90.00
_cell_angle_beta 90.00
_cell_angle_gamma 120.00
_space_group_name_H-M_alt 'R -3 m'
_space_group_IT_number 166
_space_group_name_Hall '-R 3 2"'
loop_
_atom_site_label
_atom_site_type_symbol
_atom_site_fract_x
_atom_site_fract_y
_atom_site_fract_z
La1 La 0.0000 0.0000 0.0000
Tb1 Tb 0.0000 0.5000 0.5000
Mo1 Mo 0.0000 0.0000 0.5000
Mo2 Mo 0.0000 0.5000 0.0000
O1 O 0.0000 0.0000 0.1294
O2 O 0.0411 0.5205 0.1117
O3 O 0.0560 0.5280 0.3602
# MP2020-corrected energy in eV for the cell shown: -587.61
# Crystal system: trigonal

=====

Record 2
# GGA+U La2Te3MoO12, optimized geometry
data_La2Te3MoO12
_chemical_formula_sum 'La8 Te12 Mo4 O48'
_cell_length_a 7.483
_cell_length_b 11.829
_cell_length_c 13.712
_cell_angle_alpha 90.00
_cell_angle_beta 90.00
_cell_angle_gamma 90.00
_space_group_name_H-M_alt 'P n m a'
_space_group_IT_number 62
_space_group_name_Hall '-P 2ac 2n'
loop_
_atom_site_label
_atom_site_type_symbol
_atom_site_fract_x
_atom_site_fract_y
_atom_site_fract_z
La1 La 0.093 0.084 0.130
Te1 Te 0.031 0.250 0.380
Te2 Te 0.155 0.544 0.378
Mo1 Mo 0.147 0.750 0.096
O1 O 0.014 0.250 0.242
O2 O 0.025 0.569 0.599
O3 O 0.054 0.750 0.972
O4 O 0.076 0.626 0.162
O5 O 0.116 0.250 0.584
O6 O 0.174 0.001 0.972
O7 O 0.215 0.750 0.589
O8 O 0.228 0.542 0.781
# MP2020-corrected energy in eV for the cell shown: -529.50
# Crystal system: orthorhombic